[1]
# CePt5

A relaxed CePt5 crystal (r2SCAN, the Materials Project).

## Properties
As for the density: 16.8 Mg/m³. The magnetization comes out at 0.5 Bohr magnetons per cell. The crystal system is hexagonal. The calculated total energy is -3.5895 Ry/atom. The volume is 18.37 Å³/atom.

Cell: 5.3685 5.3685 4.4171 Å, 90.00 90.00 120.00°
Element x y z (fractional)
Ce 0.0000 0.0000 0.0000
Pt 0.0000 0.5000 0.5000
Pt 0.3333 0.6667 0.0000
Pt 0.5000 0.0000 0.5000
Pt 0.5000 0.5000 0.5000
Pt 0.6667 0.3333 0.0000

***

[2]
# Ti5Mn7

A relaxed Ti5Mn7 crystal (r2SCAN, the Materials Project).

## Properties
As for the density: 5.9 Mg/m³. The magnetization comes out at 8.0 Bohr magnetons per cell. The crystal system is trigonal. The calculated total energy is -1.0384 Ry/atom. The volume is 14.67 Å³/atom.

Cell: 5.1227 5.1227 7.7439 Å, 90.00 90.00 120.00°
Element x y z (fractional)
Ti 0.0000 0.0000 0.0000
Ti 0.3333 0.6667 0.5607
Ti 0.3333 0.6667 0.9341
Ti 0.6667 0.3333 0.0659
Ti 0.6667 0.3333 0.4393
Mn 0.0000 0.0000 0.5000
Mn 0.1720 0.3441 0.2585
Mn 0.1720 0.8280 0.2585
Mn 0.3441 0.1720 0.7415
Mn 0.6559 0.8280 0.2585
Mn 0.8280 0.1720 0.7415
Mn 0.8280 0.6559 0.7415

***

[3]
# Ga3Ni20B6

A relaxed Ga3Ni20B6 crystal (r2SCAN, the Materials Project).

## Properties
As for the density: 8.5 Mg/m³. The magnetization comes out at 0.0 Bohr magnetons per cell. The crystal system is cubic. The calculated total energy is -0.8293 Ry/atom. The volume is 9.70 Å³/atom.

Cell: 7.3552 7.3552 7.3552 Å, 60.00 60.00 60.00°
Element x y z (fractional)
Ga 0.0000 0.0000 0.0000
Ga 0.2500 0.2500 0.2500
Ga 0.7500 0.7500 0.7500
Ni 0.0000 0.0000 0.3376
Ni 0.0000 0.0000 0.6624
Ni 0.0000 0.3376 0.0000
Ni 0.0000 0.3376 0.6624
Ni 0.0000 0.6624 0.0000
Ni 0.0000 0.6624 0.3376
Ni 0.1467 0.6178 0.6178
Ni 0.3376 0.0000 0.0000
Ni 0.3376 0.0000 0.6624
Ni 0.3376 0.6624 0.0000
Ni 0.3822 0.3822 0.3822
Ni 0.3822 0.3822 0.8533
Ni 0.3822 0.8533 0.3822
Ni 0.6178 0.1467 0.6178
Ni 0.6178 0.6178 0.1467
Ni 0.6178 0.6178 0.6178
Ni 0.6624 0.0000 0.0000
Ni 0.6624 0.0000 0.3376
Ni 0.6624 0.3376 0.0000
Ni 0.8533 0.3822 0.3822
B 0.2760 0.2760 0.7240
B 0.2760 0.7240 0.2760
B 0.2760 0.7240 0.7240
B 0.7240 0.2760 0.2760
B 0.7240 0.2760 0.7240
B 0.7240 0.7240 0.2760

***

[4]
# Sr2Mn2O5

A relaxed Sr2Mn2O5 crystal (r2SCAN, the Materials Project).

## Properties
As for the density: 5.3 Mg/m³. The magnetization comes out at 16.0 Bohr magnetons per cell. The crystal system is orthorhombic. The calculated total energy is -0.9260 Ry/atom. The volume is 12.68 Å³/atom.

Cell: 5.5266 10.8631 3.8014 Å, 90.00 90.00 90.00°
Element x y z (fractional)
Sr 0.2164 0.1334 0.0000
Sr 0.2836 0.6334 0.0000
Sr 0.7164 0.3666 0.0000
Sr 0.7836 0.8666 0.0000
Mn 0.2418 0.3761 0.5000
Mn 0.2582 0.8761 0.5000
Mn 0.7418 0.1239 0.5000
Mn 0.7582 0.6239 0.5000
O 0.0000 0.0000 0.5000
O 0.0249 0.7326 0.5000
O 0.2047 0.3984 0.0000
O 0.2953 0.8984 0.0000
O 0.4751 0.2326 0.5000
O 0.5000 0.5000 0.5000
O 0.5249 0.7674 0.5000
O 0.7047 0.1016 0.0000
O 0.7953 0.6016 0.0000
O 0.9751 0.2674 0.5000

***

[5]
# ZrF4

A relaxed ZrF4 crystal (r2SCAN, the Materials Project).

## Properties
As for the density: 4.5 Mg/m³. The magnetization comes out at 0.0 Bohr magnetons per cell. The crystal system is monoclinic. The calculated total energy is -0.8140 Ry/atom. The volume is 12.25 Å³/atom.

Cell: 7.7343 7.7343 7.7270 Å, 116.84 116.84 80.39°
Element x y z (fractional)
Zr 0.2144 0.7856 0.7500
Zr 0.2229 0.3657 0.1664
Zr 0.3657 0.2229 0.6664
Zr 0.6343 0.7771 0.3336
Zr 0.7771 0.6343 0.8336
Zr 0.7856 0.2144 0.2500
F 0.0000 0.5000 0.0000
F 0.0306 0.7235 0.8502
F 0.0629 0.1708 0.4552
F 0.1708 0.0629 0.9552
F 0.1833 0.5980 0.4249
F 0.2578 0.3171 0.8930
F 0.2605 0.5017 0.7165
F 0.2765 0.9694 0.6498
F 0.3171 0.2578 0.3930
F 0.3935 0.6065 0.2500
F 0.4020 0.8167 0.0751
F 0.4983 0.7395 0.7835
F 0.5000 0.0000 0.5000
F 0.5017 0.2605 0.2165
F 0.5980 0.1833 0.9249
F 0.6065 0.3935 0.7500
F 0.6829 0.7422 0.6070
F 0.7235 0.0306 0.3502
F 0.7395 0.4983 0.2835
F 0.7422 0.6829 0.1070
F 0.8167 0.4020 0.5751
F 0.8292 0.9371 0.0448
F 0.9371 0.8292 0.5448
F 0.9694 0.2765 0.1498

***

[6]
# ScCo2Si2

A relaxed ScCo2Si2 crystal (r2SCAN, the Materials Project).

## Properties
As for the density: 5.4 Mg/m³. The magnetization comes out at 0.0 Bohr magnetons per cell. The crystal system is tetragonal. The calculated total energy is -0.8681 Ry/atom. The volume is 13.41 Å³/atom.

Cell: 5.4568 5.4568 5.4568 Å, 139.82 139.82 58.13°
Element x y z (fractional)
Sc 0.0000 0.0000 0.0000
Co 0.2500 0.7500 0.5000
Co 0.7500 0.2500 0.5000
Si 0.3753 0.3753 0.0000
Si 0.6247 0.6247 0.0000

***

[7]
# YZn5

A relaxed YZn5 crystal (r2SCAN, the Materials Project).

## Properties
As for the density: 6.9 Mg/m³. The magnetization comes out at 0.0 Bohr magnetons per cell. The crystal system is hexagonal. The calculated total energy is -0.8181 Ry/atom. The volume is 16.70 Å³/atom.

Cell: 8.7978 8.7978 8.9676 Å, 90.00 90.00 120.00°
Element x y z (fractional)
Y 0.1883 0.3766 0.2500
Y 0.1883 0.8117 0.2500
Y 0.3766 0.1883 0.7500
Y 0.6234 0.8117 0.2500
Y 0.8117 0.1883 0.7500
Y 0.8117 0.6234 0.7500
Zn 0.0000 0.0000 0.0000
Zn 0.0000 0.0000 0.5000
Zn 0.0000 0.5000 0.0000
Zn 0.0000 0.5000 0.5000
Zn 0.1367 0.5684 0.7500
Zn 0.1615 0.3230 0.5925
Zn 0.1615 0.3230 0.9075
Zn 0.1615 0.8385 0.5925
Zn 0.1615 0.8385 0.9075
Zn 0.3230 0.1615 0.0925
Zn 0.3230 0.1615 0.4075
Zn 0.3333 0.6667 0.0133
Zn 0.3333 0.6667 0.4867
Zn 0.4316 0.5684 0.7500
Zn 0.4316 0.8633 0.7500
Zn 0.5000 0.0000 0.0000
Zn 0.5000 0.0000 0.5000
Zn 0.5000 0.5000 0.0000
Zn 0.5000 0.5000 0.5000
Zn 0.5684 0.1367 0.2500
Zn 0.5684 0.4316 0.2500
Zn 0.6667 0.3333 0.5133
Zn 0.6667 0.3333 0.9867
Zn 0.6770 0.8385 0.5925
Zn 0.6770 0.8385 0.9075
Zn 0.8385 0.1615 0.0925
Zn 0.8385 0.1615 0.4075
Zn 0.8385 0.6770 0.0925
Zn 0.8385 0.6770 0.4075
Zn 0.8633 0.4316 0.2500

***

[8]
# NpH2

A relaxed NpH2 crystal (r2SCAN, the Materials Project).

## Properties
As for the density: 11.1 Mg/m³. The magnetization comes out at 3.6 Bohr magnetons per cell. The crystal system is cubic. The calculated total energy is -2.2418 Ry/atom. The volume is 11.89 Å³/atom.

Cell: 3.6946 3.6946 3.6946 Å, 60.00 60.00 60.00°
Element x y z (fractional)
Np 0.0000 0.0000 0.0000
H 0.2500 0.2500 0.2500
H 0.7500 0.7500 0.7500

***

[9]
# BeBr2

A relaxed BeBr2 crystal (r2SCAN, the Materials Project).

## Properties
As for the density: 3.3 Mg/m³. The magnetization comes out at 0.0 Bohr magnetons per cell. The crystal system is orthorhombic. The calculated total energy is -0.8417 Ry/atom. The volume is 28.09 Å³/atom.

Cell: 6.6275 6.6275 6.6275 Å, 128.74 74.08 130.42°
Element x y z (fractional)
Be 0.2500 0.2500 0.0000
Be 0.7500 0.7500 0.0000
Br 0.1134 0.2095 0.3229
Br 0.3866 0.7095 0.0961
Br 0.6134 0.2905 0.9039
Br 0.8866 0.7905 0.6771

***

[10]
# LaCoGe3

A relaxed LaCoGe3 crystal (r2SCAN, the Materials Project).

## Properties
As for the density: 7.5 Mg/m³. The magnetization comes out at 0.0 Bohr magnetons per cell. The crystal system is tetragonal. The calculated total energy is -1.2865 Ry/atom. The volume is 18.52 Å³/atom.

Cell: 5.7977 5.7977 5.7977 Å, 136.05 136.05 63.90°
Element x y z (fractional)
La 0.0000 0.0000 0.0000
Co 0.3349 0.3349 0.0000
Ge 0.2418 0.7418 0.5000
Ge 0.5676 0.5676 0.0000
Ge 0.7418 0.2418 0.5000

***

[11]
# Ta2Ni3Se8

A relaxed Ta2Ni3Se8 crystal (r2SCAN, the Materials Project).

## Properties
As for the density: 7.0 Mg/m³. The magnetization comes out at 0.0 Bohr magnetons per cell. The crystal system is orthorhombic. The calculated total energy is -1.4503 Ry/atom. The volume is 21.41 Å³/atom.

Cell: 10.7299 14.9368 3.4735 Å, 90.00 90.00 90.00°
Element x y z (fractional)
Ta 0.1960 0.1236 0.0000
Ta 0.3040 0.6236 0.0000
Ta 0.6960 0.3764 0.0000
Ta 0.8040 0.8764 0.0000
Ni 0.0000 0.0000 0.5000
Ni 0.1422 0.7256 0.5000
Ni 0.3578 0.2256 0.5000
Ni 0.5000 0.5000 0.5000
Ni 0.6422 0.7744 0.5000
Ni 0.8578 0.2744 0.5000
Se 0.0198 0.1557 0.5000
Se 0.0669 0.6329 0.0000
Se 0.2166 0.9960 0.5000
Se 0.2384 0.2898 0.0000
Se 0.2616 0.7898 0.0000
Se 0.2834 0.4960 0.5000
Se 0.4331 0.1329 0.0000
Se 0.4802 0.6557 0.5000
Se 0.5198 0.3443 0.5000
Se 0.5669 0.8671 0.0000
Se 0.7166 0.5040 0.5000
Se 0.7384 0.2102 0.0000
Se 0.7616 0.7102 0.0000
Se 0.7834 0.0040 0.5000
Se 0.9331 0.3671 0.0000
Se 0.9802 0.8443 0.5000

***

[12]
# LaOsN3

A relaxed LaOsN3 crystal (r2SCAN, the Materials Project).

## Properties
As for the density: 8.8 Mg/m³. The magnetization comes out at 0.0 Bohr magnetons per cell. The crystal system is orthorhombic. The calculated total energy is -1.6572 Ry/atom. The volume is 14.00 Å³/atom.

Cell: 5.6702 3.6795 6.7110 Å, 90.00 90.00 90.00°
Element x y z (fractional)
La 0.2500 0.0000 0.2118
La 0.7500 0.0000 0.7882
Os 0.2500 0.5000 0.8068
Os 0.7500 0.5000 0.1932
N 0.0000 0.5000 0.0000
N 0.0070 0.5000 0.5948
N 0.4930 0.5000 0.5948
N 0.5000 0.5000 0.0000
N 0.5070 0.5000 0.4052
N 0.9930 0.5000 0.4052

***

[13]
# Rb3Na

A relaxed Rb3Na crystal (r2SCAN, the Materials Project).

## Properties
As for the density: 1.5 Mg/m³. The magnetization comes out at 0.0 Bohr magnetons per cell. The crystal system is cubic. The calculated total energy is -0.8302 Ry/atom. The volume is 77.25 Å³/atom.

Cell: 6.7606 6.7606 6.7606 Å, 90.00 90.00 90.00°
Element x y z (fractional)
Rb 0.0000 0.0000 0.5000
Rb 0.0000 0.5000 0.0000
Rb 0.5000 0.0000 0.0000
Na 0.5000 0.5000 0.5000

***

[14]
# NbCr2

A relaxed NbCr2 crystal (r2SCAN, the Materials Project).

## Properties
As for the density: 7.9 Mg/m³. The magnetization comes out at 0.0 Bohr magnetons per cell. The crystal system is hexagonal. The calculated total energy is -1.3325 Ry/atom. The volume is 13.86 Å³/atom.

Cell: 4.8978 4.8978 16.0101 Å, 90.00 90.00 120.00°
Element x y z (fractional)
Nb 0.0000 0.0000 0.0948
Nb 0.0000 0.0000 0.4052
Nb 0.0000 0.0000 0.5948
Nb 0.0000 0.0000 0.9052
Nb 0.3333 0.6667 0.1562
Nb 0.3333 0.6667 0.3438
Nb 0.6667 0.3333 0.6562
Nb 0.6667 0.3333 0.8438
Cr 0.0000 0.5000 0.0000
Cr 0.0000 0.5000 0.5000
Cr 0.1643 0.3287 0.7500
Cr 0.1643 0.8357 0.7500
Cr 0.3287 0.1643 0.2500
Cr 0.3333 0.6667 0.6233
Cr 0.3333 0.6667 0.8767
Cr 0.5000 0.0000 0.0000
Cr 0.5000 0.0000 0.5000
Cr 0.5000 0.5000 0.0000
Cr 0.5000 0.5000 0.5000
Cr 0.6667 0.3333 0.1233
Cr 0.6667 0.3333 0.3767
Cr 0.6713 0.8357 0.7500
Cr 0.8357 0.1643 0.2500
Cr 0.8357 0.6713 0.2500

***

[15]
# HoGa2Ni

A relaxed HoGa2Ni crystal (r2SCAN, the Materials Project).

## Properties
As for the density: 9.0 Mg/m³. The magnetization comes out at 0.0 Bohr magnetons per cell. The crystal system is orthorhombic. The calculated total energy is -1.2964 Ry/atom. The volume is 16.78 Å³/atom.

Cell: 5.4000 5.4000 6.5923 Å, 90.00 90.00 135.71°
Element x y z (fractional)
Ho 0.0711 0.9289 0.7500
Ho 0.9289 0.0711 0.2500
Ga 0.3546 0.6454 0.5545
Ga 0.3546 0.6454 0.9455
Ga 0.6454 0.3546 0.0545
Ga 0.6454 0.3546 0.4455
Ni 0.2109 0.7891 0.2500
Ni 0.7891 0.2109 0.7500

***

[16]
# Y2Au

A relaxed Y2Au crystal (r2SCAN, the Materials Project).

## Properties
As for the density: 7.8 Mg/m³. The magnetization comes out at 0.0 Bohr magnetons per cell. The crystal system is orthorhombic. The calculated total energy is -2.2876 Ry/atom. The volume is 26.45 Å³/atom.

Cell: 7.1575 4.9766 8.9118 Å, 90.00 90.00 90.00°
Element x y z (fractional)
Y 0.0127 0.2500 0.1739
Y 0.1458 0.2500 0.5835
Y 0.3542 0.7500 0.0835
Y 0.4873 0.7500 0.6739
Y 0.5127 0.2500 0.3261
Y 0.6458 0.2500 0.9165
Y 0.8542 0.7500 0.4165
Y 0.9873 0.7500 0.8261
Au 0.2429 0.2500 0.9040
Au 0.2571 0.7500 0.4040
Au 0.7429 0.2500 0.5960
Au 0.7571 0.7500 0.0960

***

[17]
# Dy3In5

A relaxed Dy3In5 crystal (r2SCAN, the Materials Project).

## Properties
As for the density: 8.6 Mg/m³. The magnetization comes out at 0.0 Bohr magnetons per cell. The crystal system is orthorhombic. The calculated total energy is -1.9630 Ry/atom. The volume is 25.54 Å³/atom.

Cell: 6.3543 6.3543 10.3301 Å, 90.00 90.00 78.50°
Element x y z (fractional)
Dy 0.1238 0.8762 0.7500
Dy 0.2969 0.2969 0.0000
Dy 0.2969 0.2969 0.5000
Dy 0.7031 0.7031 0.0000
Dy 0.7031 0.7031 0.5000
Dy 0.8762 0.1238 0.2500
In 0.0083 0.4242 0.7500
In 0.1913 0.8087 0.0456
In 0.1913 0.8087 0.4544
In 0.4242 0.0083 0.2500
In 0.4921 0.5079 0.2500
In 0.5079 0.4921 0.7500
In 0.5758 0.9917 0.7500
In 0.8087 0.1913 0.5456
In 0.8087 0.1913 0.9544
In 0.9917 0.5758 0.2500

***

[18]
# LaNi5H7

A relaxed LaNi5H7 crystal (r2SCAN, the Materials Project).

## Properties
As for the density: 6.9 Mg/m³. The magnetization comes out at 1.6 Bohr magnetons per cell. The crystal system is hexagonal. The calculated total energy is -0.6615 Ry/atom. The volume is 8.15 Å³/atom.

Cell: 5.3204 5.3204 8.6443 Å, 90.00 90.00 120.00°
Element x y z (fractional)
La 0.0000 0.0000 0.0000
La 0.0000 0.0000 0.5000
Ni 0.0017 0.5009 0.2693
Ni 0.3333 0.6667 0.0137
Ni 0.3333 0.6667 0.5386
Ni 0.4991 0.5009 0.2693
Ni 0.4991 0.9983 0.2693
Ni 0.5009 0.0017 0.7693
Ni 0.5009 0.4991 0.7693
Ni 0.6667 0.3333 0.0386
Ni 0.6667 0.3333 0.5137
Ni 0.9983 0.4991 0.7693
H 0.0131 0.5066 0.4607
H 0.1535 0.3070 0.7452
H 0.1535 0.8465 0.7452
H 0.3070 0.1535 0.2452
H 0.3333 0.6667 0.1976
H 0.4934 0.5066 0.4607
H 0.4934 0.9869 0.4607
H 0.5066 0.0131 0.9607
H 0.5066 0.4934 0.9607
H 0.6667 0.3333 0.6976
H 0.6930 0.8465 0.7452
H 0.8465 0.1535 0.2452
H 0.8465 0.6930 0.2452
H 0.9869 0.4934 0.9607